# 1
Li6Sn5P8O28, relaxed, DFT PBE; total magnetic moment = 0.0 μB/cell
1.0
9.6267 0.0000 0.0000
4.4436 10.5198 0.0000
3.5709 1.7122 13.0656
Li Sn P O
12 10 16 56
direct
0.0000 0.0000 0.0000
0.0000 0.0000 0.5000
0.0400 0.3716 0.0755
0.0505 0.3728 0.5510
0.1747 0.5572 0.7476
0.4189 0.2043 0.6559
0.4379 0.1540 0.1720
0.5621 0.8460 0.8280
0.5811 0.7957 0.3441
0.8253 0.4428 0.2524
0.9495 0.6272 0.4490
0.9600 0.6284 0.9245
0.1942 0.5021 0.2521
0.2602 0.7678 0.0712
0.2657 0.7580 0.5783
0.4032 0.2059 0.9029
0.4136 0.1945 0.3990
0.5864 0.8055 0.6010
0.5968 0.7941 0.0971
0.7343 0.2420 0.4217
0.7398 0.2322 0.9288
0.8058 0.4979 0.7479
0.1028 0.2024 0.7828
0.1056 0.1991 0.2830
0.2243 0.0813 0.0954
0.2251 0.0804 0.5943
0.2819 0.4921 0.9863
0.2863 0.4850 0.5050
0.3207 0.7100 0.8407
0.3352 0.6875 0.3421
0.6648 0.3125 0.6579
0.6793 0.2900 0.1593
0.7137 0.5150 0.4950
0.7181 0.5079 0.0137
0.7749 0.9196 0.4057
0.7757 0.9187 0.9046
0.8944 0.8009 0.7170
0.8972 0.7976 0.2172
0.0021 0.8338 0.1198
0.0037 0.8298 0.6192
0.0356 0.3428 0.7305
0.0460 0.3359 0.2267
0.1141 0.1080 0.7051
0.1174 0.1002 0.2079
0.1482 0.4992 0.4600
0.1593 0.4953 0.9320
0.1792 0.9876 0.5568
0.1816 0.9879 0.0548
0.1834 0.2130 0.0283
0.1908 0.2098 0.5241
0.2011 0.7976 0.9193
0.2077 0.5681 0.0811
0.2197 0.7825 0.4145
0.2349 0.5604 0.5967
0.2502 0.6865 0.7627
0.2586 0.6635 0.2651
0.2686 0.1741 0.7929
0.2727 0.1630 0.2969
0.3840 0.3446 0.5292
0.3882 0.3563 0.0148
0.3888 0.5679 0.9083
0.3943 0.0363 0.1050
0.3948 0.0343 0.6065
0.3956 0.5476 0.4132
0.4595 0.7517 0.7944
0.4781 0.7198 0.2869
0.5219 0.2802 0.7131
0.5405 0.2483 0.2056
0.6044 0.4524 0.5868
0.6052 0.9657 0.3935
0.6057 0.9637 0.8950
0.6112 0.4321 0.0917
0.6118 0.6437 0.9852
0.6160 0.6554 0.4708
0.7273 0.8370 0.7031
0.7314 0.8259 0.2071
0.7414 0.3365 0.7349
0.7498 0.3135 0.2373
0.7651 0.4396 0.4033
0.7803 0.2175 0.5855
0.7923 0.4319 0.9189
0.7989 0.2024 0.0807
0.8092 0.7902 0.4759
0.8166 0.7870 0.9717
0.8184 0.0121 0.9452
0.8208 0.0124 0.4432
0.8407 0.5047 0.0680
0.8518 0.5008 0.5400
0.8826 0.8998 0.7921
0.8859 0.8920 0.2949
0.9540 0.6641 0.7733
0.9644 0.6572 0.2695
0.9963 0.1702 0.3808
0.9979 0.1662 0.8802

# 2
DFT (PBE) results for crystalline ErPt3 at its relaxed geometry.

Structure (POSCAR):
```
ErPt3
1.0
4.1029 0.0000 0.0000
0.0000 4.1029 0.0000
0.0000 0.0000 4.1029
Er Pt
1 3
direct
0.0000 0.0000 0.0000
0.0000 0.5000 0.5000
0.5000 0.0000 0.5000
0.5000 0.5000 0.0000
```

# 3
Rb2Sb4S7, relaxed, DFT PBE; offset from the most stable computed form = 0 meV per atom
1.0
7.6085 0.0000 0.0000
2.1646 9.6072 0.0000
0.4576 2.0991 11.7251
Rb Sb S
4 8 14
direct
0.0791 0.2374 0.4352
0.2262 0.8402 0.8959
0.7738 0.1598 0.1041
0.9209 0.7626 0.5648
0.0039 0.6851 0.2293
0.2275 0.3637 0.0517
0.3432 0.9324 0.1907
0.4690 0.4480 0.6552
0.5310 0.5520 0.3448
0.6568 0.0676 0.8093
0.7725 0.6363 0.9483
0.9961 0.3149 0.7707
0.0522 0.9212 0.2887
0.0589 0.5675 0.8505
0.1539 0.1751 0.9516
0.2674 0.5200 0.4617
0.3113 0.6284 0.1538
0.3700 0.1685 0.2279
0.4549 0.1982 0.6466
0.5451 0.8018 0.3534
0.6300 0.8315 0.7721
0.6887 0.3716 0.8462
0.7326 0.4800 0.5383
0.8461 0.8249 0.0484
0.9411 0.4325 0.1495
0.9478 0.0788 0.7113

# 4
MnInGaS4, relaxed, DFT PBE; total magnetic moment = 4.6 μB/cell
1.0
1.9234 1.1105 12.6585
-1.9234 1.1105 12.6585
0.0000 -2.2209 12.6585
Mn In Ga S
1 1 1 4
direct
0.0000 0.0000 0.0000
0.5305 0.5305 0.5305
0.7625 0.7625 0.7625
0.0650 0.0650 0.0650
0.4656 0.4656 0.4656
0.6467 0.6467 0.6467
0.8942 0.8942 0.8942

# 5
EuZr4SnO12, relaxed, DFT PBE; total magnetic moment = 5.0 μB/cell
1.0
8.2156 0.0000 0.0000
0.0000 3.9860 4.0410
0.0000 -3.9860 4.0410
Eu Zr Sn O
1 4 1 12
direct
0.0000 0.0000 0.0000
0.2436 0.0156 0.5079
0.2436 0.5079 0.0156
0.7564 0.0156 0.5079
0.7564 0.5079 0.0156
0.5000 0.5382 0.5382
0.0000 0.0728 0.4390
0.0000 0.4390 0.0728
0.2023 0.7286 0.7286
0.2240 0.1950 0.8279
0.2240 0.8279 0.1950
0.3280 0.3593 0.3593
0.5000 0.4993 0.8883
0.5000 0.8883 0.4993
0.6720 0.3593 0.3593
0.7760 0.1950 0.8279
0.7760 0.8279 0.1950
0.7977 0.7286 0.7286

# 6
Pr3Ag4Sn4, relaxed, DFT PBE; offset from the most stable computed form = 398 meV per atom; total magnetic moment = 0.1 μB/cell
1.0
-1.8672 4.4582 9.1295
1.8672 -4.4582 9.1295
1.8672 4.4582 -9.1295
Pr Ag Sn
3 4 4
direct
0.0000 0.0000 0.0000
0.3311 0.8311 0.5000
0.6689 0.1689 0.5000
0.0987 0.3842 0.7145
0.3303 0.6158 0.7145
0.6697 0.3842 0.2855
0.9013 0.6158 0.2855
0.1835 0.1835 0.0000
0.3445 0.0000 0.3445
0.6555 0.0000 0.6555
0.8165 0.8165 0.0000

# 7
BaMg6W, relaxed, DFT PBE; offset from the most stable computed form = 134 meV per atom; total magnetic moment = 1.6 μB/cell
1.0
-1.8659 3.7065 -3.0629
-4.7065 1.3003 4.4406
6.9022 7.6650 5.0710
Mg Ba W
12 2 2
direct
0.5000 0.0000 0.1641
0.5000 0.5000 0.6641
0.0000 0.0000 0.3329
0.5000 0.7283 0.9260
0.0000 0.7264 0.0867
0.0000 0.7736 0.5867
0.0000 0.2264 0.5867
0.5000 0.2283 0.4260
0.0000 0.2736 0.0867
0.0000 0.5000 0.8329
0.5000 0.7717 0.4260
0.5000 0.2717 0.9260
0.0000 0.0000 0.8321
0.0000 0.5000 0.3321
0.5000 0.5000 0.1454
0.5000 0.0000 0.6454

# 8
DFT (PBE) results for crystalline Ba3Au2 at its relaxed geometry.

Structure (POSCAR):
```
Ba3Au2
1.0
5.1700 2.9849 6.4930
-5.1700 2.9849 6.4930
0.0000 -5.9698 6.4930
Ba Au
9 6
direct
0.0000 0.0000 0.0000
0.1585 0.6754 0.3873
0.2043 0.2043 0.2043
0.3246 0.6127 0.8415
0.3873 0.1585 0.6754
0.6127 0.8415 0.3246
0.6754 0.3873 0.1585
0.7957 0.7957 0.7957
0.8415 0.3246 0.6127
0.0398 0.4044 0.8538
0.1462 0.9602 0.5956
0.4044 0.8538 0.0398
0.5956 0.1462 0.9602
0.8538 0.0398 0.4044
0.9602 0.5956 0.1462
```

# 9
DFT (PBE) results for crystalline Cs3ZnI5 at its relaxed geometry.

Structure (POSCAR):
```
Cs3ZnI5
1.0
10.2621 0.0000 0.0000
0.0000 11.7655 0.0000
0.0000 0.0000 15.3341
Cs Zn I
12 4 20
direct
0.0815 0.0172 0.1724
0.0815 0.4828 0.1724
0.0855 0.2500 0.4520
0.4145 0.7500 0.9520
0.4185 0.5172 0.6724
0.4185 0.9828 0.6724
0.5815 0.0172 0.3276
0.5815 0.4828 0.3276
0.5855 0.2500 0.0480
0.9145 0.7500 0.5480
0.9185 0.5172 0.8276
0.9185 0.9828 0.8276
0.1868 0.2500 0.8930
0.3132 0.7500 0.3930
0.6868 0.2500 0.6070
0.8132 0.7500 0.1070
0.0319 0.7500 0.0139
0.1374 0.2500 0.7248
0.1675 0.7500 0.7365
0.1883 0.5620 0.4361
0.1883 0.9380 0.4361
0.3117 0.0620 0.9361
0.3117 0.4380 0.9361
0.3325 0.2500 0.2365
0.3626 0.7500 0.2248
0.4681 0.2500 0.5139
0.5319 0.7500 0.4861
0.6374 0.2500 0.7752
0.6675 0.7500 0.7635
0.6883 0.5620 0.0639
0.6883 0.9380 0.0639
0.8117 0.0620 0.5639
0.8117 0.4380 0.5639
0.8325 0.2500 0.2635
0.8626 0.7500 0.2752
0.9681 0.2500 0.9861
```

# 10
RbTi2P3O12, relaxed, DFT PBE; total magnetic moment = 0.0 μB/cell
1.0
4.2195 2.4361 7.9344
-4.2195 2.4361 7.9344
0.0000 -4.8723 7.9344
Rb Ti P O
2 4 6 24
direct
0.0000 0.0000 0.0000
0.5000 0.5000 0.5000
0.1508 0.1508 0.1508
0.3492 0.3492 0.3492
0.6508 0.6508 0.6508
0.8492 0.8492 0.8492
0.0298 0.7500 0.4702
0.2500 0.5298 0.9702
0.4702 0.0298 0.7500
0.5298 0.9702 0.2500
0.7500 0.4702 0.0298
0.9702 0.2500 0.5298
0.0118 0.7386 0.6523
0.0683 0.6977 0.9296
0.0704 0.9317 0.3023
0.1523 0.2386 0.5118
0.1977 0.5683 0.4296
0.2386 0.5118 0.1523
0.2614 0.3477 0.9882
0.3023 0.0704 0.9317
0.3477 0.9882 0.2614
0.4296 0.1977 0.5683
0.4317 0.5704 0.8023
0.4882 0.8477 0.7614
0.5118 0.1523 0.2386
0.5683 0.4296 0.1977
0.5704 0.8023 0.4317
0.6523 0.0118 0.7386
0.6977 0.9296 0.0683
0.7386 0.6523 0.0118
0.7614 0.4882 0.8477
0.8023 0.4317 0.5704
0.8477 0.7614 0.4882
0.9296 0.0683 0.6977
0.9317 0.3023 0.0704
0.9882 0.2614 0.3477

# 11
DFT (PBE) results for crystalline LiCuS at its relaxed geometry.

Structure (POSCAR):
```
LiCuS
1.0
0.0000 4.3017 5.5185
4.2744 0.0000 5.5185
4.2744 4.3017 0.0000
Li Cu S
4 4 4
direct
0.0142 0.0142 0.7358
0.2642 0.2642 0.9858
0.7358 0.7358 0.0142
0.9858 0.9858 0.2642
0.0000 0.5000 0.5000
0.5000 0.0000 0.5000
0.5000 0.5000 0.0000
0.5000 0.5000 0.5000
0.1046 0.6454 0.1046
0.3546 0.8954 0.3546
0.6454 0.1046 0.6454
0.8954 0.3546 0.8954
```

# 12
DFT (PBE) results for crystalline HoAsO4 at its relaxed geometry.

Structure (POSCAR):
```
HoAsO4
1.0
-3.5619 3.5619 3.1712
3.5619 -3.5619 3.1712
3.5619 3.5619 -3.1712
Ho As O
2 2 8
direct
0.3750 0.6250 0.7500
0.6250 0.3750 0.2500
0.1250 0.8750 0.2500
0.8750 0.1250 0.7500
0.1286 0.6968 0.4319
0.2351 0.3032 0.9319
0.3032 0.2351 0.4319
0.3032 0.8714 0.0681
0.6968 0.1286 0.9319
0.6968 0.7649 0.5681
0.7649 0.6968 0.0681
0.8714 0.3032 0.5681
```

# 13
Th3B, relaxed, DFT PBE; total magnetic moment = 0.0 μB/cell
1.0
4.6609 0.0000 0.0000
0.0000 4.6609 0.0000
0.0000 0.0000 4.6609
Th B
3 1
direct
0.0000 0.0000 0.5000
0.0000 0.5000 0.0000
0.5000 0.0000 0.0000
0.5000 0.5000 0.5000

# 14
DFT (PBE) results for crystalline SmZnGe at its relaxed geometry.

Structure (POSCAR):
```
SmZnGe
1.0
4.2857 0.0000 0.0000
-2.1429 3.7116 0.0000
0.0000 0.0000 16.1601
Sm Zn Ge
4 4 4
direct
0.0000 0.0000 0.0000
0.0000 0.0000 0.2500
0.0000 0.0000 0.5000
0.0000 0.0000 0.7500
0.3333 0.6667 0.1425
0.3333 0.6667 0.3575
0.6667 0.3333 0.6425
0.6667 0.3333 0.8575
0.3333 0.6667 0.6154
0.3333 0.6667 0.8846
0.6667 0.3333 0.1154
0.6667 0.3333 0.3846
```

| no. | energy relative to the elements (kcal/mol of atoms) |
| --- | --- |
| 1 | -56.69 |
| 2 | -24.04 |
| 3 | -18.98 |
| 4 | -17.57 |
| 5 | -72.64 |
| 6 | -3.74 |
| 7 | 11.38 |
| 8 | -13.98 |
| 9 | -34.05 |
| 10 | -69.77 |
| 11 | -20.84 |
| 12 | -65.77 |
| 13 | 12.51 |
| 14 | -15.99 |